(1)
Material: Li6Cr2O7
Method: DFT, GGA+U
State: optimized geometry

abc: 5.768 5.037 9.256
angles: 80.16 90.00 90.00
Fractional coordinates of all 30 atoms:
O 0.508 0.301 0.754
Li 0.716 0.867 0.363
Cr 0.993 0.129 0.133
O 0.278 0.506 0.504
Cr 0.007 0.871 0.867
O 0.778 0.994 0.996
Li 0.769 0.631 0.132
Li 0.505 0.940 0.870
Cr 0.493 0.371 0.367
O 0.722 0.494 0.496
Li 0.269 0.869 0.368
Li 0.995 0.440 0.370
O 0.728 0.248 0.239
O 0.222 0.006 0.004
O 0.272 0.752 0.761
Li 0.231 0.369 0.868
Li 0.731 0.131 0.632
Li 0.005 0.560 0.630
O 0.500 0.000 0.500
Cr 0.507 0.629 0.633
Li 0.284 0.133 0.637
Li 0.495 0.060 0.130
O 0.492 0.699 0.246
O 0.772 0.748 0.739
O 0.000 0.500 0.000
O 0.008 0.199 0.746
Li 0.784 0.367 0.863
O 0.228 0.252 0.261
Li 0.216 0.633 0.137
O 0.992 0.801 0.254

Output
energy with MP2020 corrections = -6.527 eV per atom
space group = P2_1/c, No. 14
offset from the most stable computed form = 0.000 eV/atom



(2)
Material: Li3CrO4
Method: DFT, GGA+U
State: optimized geometry

abc: 5.035 5.035 6.217
angles: 90.00 90.00 105.80
Fractional coordinates of all 16 atoms:
Li 0.742 0.741 0.751
O 0.525 0.024 0.236
Li 0.258 0.259 0.251
O 0.475 0.976 0.736
Li 0.228 0.772 0.014
Li 0.259 0.258 0.751
O 0.024 0.525 0.736
Li 0.772 0.228 0.514
O 0.960 0.040 0.975
O 0.040 0.960 0.475
O 0.545 0.455 0.977
Li 0.741 0.742 0.251
O 0.455 0.545 0.477
O 0.976 0.475 0.236
Cr 0.752 0.248 0.059
Cr 0.248 0.752 0.559

Output
energy with MP2020 corrections = -6.490 eV per atom
space group = Cmc2_1, No. 36
offset from the most stable computed form = 0.087 eV/atom
largest piezoelectric modulus = 2.8 C/m²



(3)
Material: Li2Cr2O7
Method: DFT, GGA+U
State: optimized geometry

abc: 7.322 6.108 13.941
angles: 72.84 90.00 90.00
Fractional coordinates of all 44 atoms:
O 0.239 0.972 0.648
O 0.833 0.056 0.078
Cr 0.853 0.772 0.402
O 0.261 0.972 0.148
O 0.024 0.729 0.337
Cr 0.647 0.772 0.902
O 0.613 0.602 0.636
Cr 0.353 0.228 0.098
O 0.387 0.398 0.364
O 0.201 0.433 0.081
O 0.615 0.779 0.219
Cr 0.771 0.804 0.617
O 0.299 0.433 0.581
Cr 0.729 0.804 0.117
O 0.385 0.221 0.781
Li 0.142 0.738 0.091
Cr 0.271 0.196 0.883
Li 0.874 0.264 0.167
Li 0.626 0.264 0.667
Cr 0.229 0.196 0.383
O 0.167 0.944 0.922
O 0.524 0.271 0.163
O 0.701 0.567 0.419
Li 0.858 0.262 0.909
Li 0.642 0.262 0.409
O 0.739 0.028 0.852
O 0.427 0.232 0.974
O 0.885 0.779 0.719
O 0.927 0.768 0.526
O 0.573 0.768 0.026
Li 0.374 0.736 0.333
O 0.115 0.221 0.281
Li 0.126 0.736 0.833
Cr 0.147 0.228 0.598
O 0.476 0.729 0.837
O 0.799 0.567 0.919
Li 0.358 0.738 0.591
O 0.761 0.028 0.352
O 0.667 0.056 0.578
O 0.887 0.602 0.136
O 0.333 0.944 0.422
O 0.976 0.271 0.663
O 0.113 0.398 0.864
O 0.073 0.232 0.474

Output
energy with MP2020 corrections = -7.085 eV per atom
space group = P2_1/c, No. 14
offset from the most stable computed form = 0.046 eV/atom



(4)
Material: Li2CrO3
Method: DFT, GGA+U
State: optimized geometry

abc: 5.916 5.916 5.354
angles: 56.83 123.17 120.82
Fractional coordinates of all 12 atoms:
O 0.082 0.783 0.233
O 0.389 0.389 0.250
O 0.611 0.611 0.750
O 0.918 0.217 0.767
Li 0.416 0.739 0.253
Cr 0.914 0.914 0.750
O 0.217 0.918 0.733
Li 0.739 0.416 0.247
Li 0.261 0.584 0.753
Li 0.584 0.261 0.747
Cr 0.086 0.086 0.250
O 0.783 0.082 0.267

Output
energy with MP2020 corrections = -6.968 eV per atom
space group = C2/c, No. 15
offset from the most stable computed form = 0.000 eV/atom



(5)
Material: Li5Cr4O8
Method: DFT, GGA+U
State: optimized geometry

abc: 6.063 6.063 9.963
angles: 90.00 90.00 121.40
Fractional coordinates of all 34 atoms:
Li 0.511 0.489 0.987
Cr 0.162 0.838 0.026
O 0.845 0.155 0.900
Cr 0.838 0.162 0.526
Cr 0.317 0.683 0.286
O 0.012 0.988 0.674
O 0.832 0.643 0.902
Li 0.295 0.705 0.550
Cr 0.684 0.821 0.786
O 0.482 0.518 0.175
Li 0.184 0.816 0.777
O 0.518 0.482 0.675
O 0.356 0.644 0.899
O 0.155 0.845 0.400
Li 0.115 0.324 0.063
O 0.006 0.468 0.668
Li 0.324 0.115 0.563
Cr 0.316 0.179 0.286
O 0.468 0.006 0.168
O 0.168 0.357 0.402
Li 0.816 0.184 0.277
O 0.357 0.168 0.902
Li 0.885 0.676 0.563
Cr 0.179 0.316 0.786
O 0.644 0.356 0.399
O 0.988 0.012 0.174
Li 0.489 0.511 0.487
Li 0.676 0.885 0.063
Li 0.705 0.295 0.050
Cr 0.683 0.317 0.786
O 0.994 0.532 0.168
Cr 0.821 0.684 0.286
O 0.532 0.994 0.668
O 0.643 0.832 0.402

Output
energy with MP2020 corrections = -7.380 eV per atom
space group = Cmc2_1, No. 36
offset from the most stable computed form = 0.000 eV/atom



(6)
Material: Li3Cr5O8
Method: DFT, GGA+U
State: optimized geometry

abc: 6.113 10.682 5.987
angles: 87.24 59.96 105.87
Fractional coordinates of all 32 atoms:
Cr 0.496 0.248 0.246
Cr 0.504 0.752 0.754
Cr 0.000 0.000 0.000
O 0.249 0.111 0.609
O 0.256 0.891 0.383
Cr 0.001 0.500 0.000
O 0.242 0.107 0.117
Cr 0.500 0.500 0.000
O 0.714 0.122 0.131
O 0.744 0.109 0.618
Cr 0.500 0.000 0.500
O 0.285 0.878 0.869
Cr 0.500 0.000 0.000
Cr 0.500 0.500 0.500
Li 0.498 0.250 0.746
O 0.752 0.389 0.888
O 0.757 0.392 0.381
O 0.287 0.378 0.367
O 0.750 0.889 0.391
Li 0.996 0.250 0.250
O 0.244 0.607 0.618
O 0.713 0.622 0.633
Li 0.004 0.750 0.750
Cr 0.000 0.500 0.500
Li 0.998 0.750 0.251
O 0.757 0.893 0.883
O 0.745 0.610 0.117
O 0.255 0.390 0.882
Cr 0.999 0.000 0.500
Li 0.002 0.251 0.750
O 0.249 0.611 0.111
Li 0.502 0.750 0.253

Output
energy with MP2020 corrections = -8.080 eV per atom
space group = P-1, No. 2
offset from the most stable computed form = 0.000 eV/atom



(7)
Material: Li2Cr4O13
Method: DFT, GGA+U
State: optimized geometry

abc: 7.645 7.645 14.058
angles: 73.22 73.22 53.14
Fractional coordinates of all 38 atoms:
O 0.551 0.951 0.601
O 0.951 0.551 0.101
O 0.557 0.934 0.101
O 0.103 0.124 0.600
Cr 0.233 0.226 0.343
O 0.103 0.085 0.851
O 0.696 0.708 0.776
O 0.897 0.876 0.400
O 0.709 0.324 0.551
Cr 0.133 0.845 0.366
O 0.324 0.709 0.051
O 0.292 0.304 0.724
O 0.124 0.103 0.100
O 0.066 0.443 0.399
O 0.304 0.292 0.224
O 0.876 0.897 0.900
O 0.443 0.066 0.899
Cr 0.155 0.867 0.134
O 0.934 0.557 0.601
Li 0.270 0.266 0.090
Li 0.266 0.270 0.590
Cr 0.867 0.155 0.634
Cr 0.226 0.233 0.843
O 0.708 0.696 0.276
O 0.742 0.258 0.750
O 0.085 0.103 0.351
Cr 0.767 0.774 0.657
O 0.258 0.742 0.250
Li 0.734 0.730 0.410
Li 0.730 0.734 0.910
O 0.291 0.676 0.449
O 0.897 0.915 0.149
Cr 0.774 0.767 0.157
Cr 0.845 0.133 0.866
O 0.049 0.449 0.899
O 0.449 0.049 0.399
O 0.676 0.291 0.949
O 0.915 0.897 0.649

Output
energy with MP2020 corrections = -7.313 eV per atom
space group = C2/c, No. 15
offset from the most stable computed form = 0.036 eV/atom



(8)
Material: Li3CrO4
Method: DFT, GGA+U
State: optimized geometry

abc: 4.993 5.131 5.807
angles: 90.02 90.03 110.51
Fractional coordinates of all 16 atoms:
O 0.981 0.782 0.889
Li 0.748 0.513 0.618
Cr 0.768 0.010 0.847
Li 0.258 0.499 0.877
O 0.522 0.761 0.649
O 0.470 0.242 0.355
Cr 0.268 0.010 0.153
O 0.998 0.210 0.108
Li 0.758 0.500 0.122
Li 0.256 0.982 0.629
O 0.970 0.241 0.645
O 0.498 0.210 0.892
O 0.481 0.782 0.111
Li 0.246 0.512 0.381
Li 0.756 0.982 0.371
O 0.022 0.762 0.352

Output
energy with MP2020 corrections = -6.508 eV per atom
space group = P1, No. 1
offset from the most stable computed form = 0.069 eV/atom



(9)
Material: Li8Cr2O9
Method: DFT, GGA+U
State: optimized geometry

abc: 14.742 8.674 5.737
angles: 70.45 78.83 85.52
Fractional coordinates of all 76 atoms:
Li 0.543 0.370 0.141
O 0.154 0.649 0.729
O 0.860 0.401 0.741
Li 0.744 0.884 0.783
Li 0.453 0.118 0.088
O 0.069 0.357 0.660
Li 0.658 0.660 0.212
O 0.251 0.874 0.326
O 0.066 0.882 0.417
O 0.931 0.643 0.340
O 0.571 0.608 0.023
Li 0.470 0.624 0.308
Li 0.158 0.413 0.849
O 0.437 0.387 0.454
O 0.754 0.124 0.192
O 0.641 0.853 0.622
Li 0.957 0.877 0.684
Cr 0.140 0.377 0.371
Li 0.045 0.631 0.034
O 0.559 0.129 0.260
O 0.557 0.135 0.789
O 0.749 0.126 0.674
Li 0.530 0.376 0.692
Li 0.459 0.121 0.590
Cr 0.851 0.125 0.377
O 0.937 0.633 0.828
O 0.934 0.118 0.583
Li 0.760 0.370 0.034
Li 0.043 0.123 0.316
O 0.345 0.649 0.131
O 0.140 0.599 0.259
Li 0.650 0.104 0.492
O 0.849 0.879 0.510
O 0.443 0.865 0.211
Li 0.153 0.848 0.129
Li 0.350 0.896 0.508
Li 0.745 0.882 0.330
Li 0.241 0.631 0.424
O 0.063 0.367 0.172
O 0.359 0.147 0.378
Li 0.054 0.633 0.545
Li 0.457 0.630 0.859
Li 0.955 0.369 0.966
Li 0.547 0.882 0.912
O 0.655 0.351 0.869
Li 0.541 0.879 0.410
O 0.060 0.882 0.889
O 0.342 0.091 0.914
Cr 0.356 0.871 0.022
O 0.752 0.626 0.898
O 0.151 0.121 0.490
Li 0.342 0.340 0.788
O 0.658 0.909 0.086
Cr 0.860 0.623 0.629
Li 0.255 0.118 0.670
O 0.846 0.351 0.271
Li 0.842 0.587 0.151
O 0.940 0.118 0.111
Cr 0.354 0.358 0.278
Cr 0.149 0.875 0.623
O 0.429 0.392 0.977
Li 0.033 0.118 0.775
Li 0.759 0.369 0.576
Li 0.256 0.116 0.217
O 0.248 0.374 0.102
O 0.441 0.871 0.740
O 0.746 0.620 0.463
Li 0.946 0.367 0.455
Li 0.240 0.630 0.966
Li 0.967 0.882 0.225
O 0.246 0.876 0.808
Li 0.847 0.152 0.871
O 0.563 0.613 0.546
Cr 0.644 0.129 0.978
O 0.254 0.380 0.537
Cr 0.646 0.642 0.722

Output
energy with MP2020 corrections = -6.250 eV per atom
space group = P-1, No. 2



(10)
Material: Li2Cr2O7
Method: DFT, GGA+U
State: optimized geometry

abc: 6.509 6.688 7.191
angles: 83.52 67.04 83.83
Fractional coordinates of all 22 atoms:
Cr 0.197 0.042 0.199
Cr 0.638 0.386 0.288
O 0.024 0.861 0.285
O 0.025 0.496 0.689
O 0.443 0.960 0.189
Li 0.091 0.543 0.369
Cr 0.505 0.122 0.732
O 0.476 0.514 0.187
O 0.874 0.802 0.939
O 0.811 0.232 0.128
O 0.619 0.898 0.690
O 0.475 0.243 0.516
Cr 0.108 0.684 0.780
Li 0.970 0.216 0.809
O 0.666 0.248 0.791
O 0.106 0.233 0.339
Li 0.598 0.630 0.880
O 0.279 0.598 0.896
O 0.242 0.116 0.929
O 0.237 0.845 0.593
O 0.777 0.544 0.344
Li 0.732 0.830 0.222

Output
energy with MP2020 corrections = -7.074 eV per atom
space group = P1, No. 1
offset from the most stable computed form = 0.057 eV/atom



(11)
Material: Li2Cr2O7
Method: DFT, GGA+U
State: optimized geometry

abc: 5.728 5.728 9.981
angles: 75.70 75.70 96.17
Fractional coordinates of all 22 atoms:
Li 0.708 0.344 0.010
O 0.047 0.953 0.250
O 0.612 0.619 0.360
O 0.324 0.018 0.884
Cr 0.210 0.190 0.292
O 0.619 0.612 0.860
O 0.982 0.676 0.616
O 0.381 0.388 0.140
Li 0.344 0.708 0.510
Cr 0.790 0.810 0.708
Li 0.292 0.656 0.990
O 0.018 0.324 0.384
Cr 0.190 0.210 0.792
O 0.381 0.070 0.391
O 0.070 0.381 0.891
Cr 0.810 0.790 0.208
O 0.953 0.047 0.750
Li 0.656 0.292 0.490
O 0.676 0.982 0.116
O 0.388 0.381 0.640
O 0.930 0.619 0.109
O 0.619 0.930 0.609

Output
energy with MP2020 corrections = -7.130 eV per atom
space group = C2/c, No. 15
offset from the most stable computed form = 0.000 eV/atom